# 1
Li5Cr3FeO8 PBE+U optimized geometry; space group = R-3m (166); raw total energy = -108.52 eV/cell
1.0
2.998 1.731 4.969
-2.998 1.731 4.969
0.000 -3.462 4.969
Li Cr Fe O
5 3 1 8
direct
0.000 0.000 0.500
0.000 0.500 0.000
0.067 0.067 0.067
0.500 0.000 0.000
0.933 0.933 0.933
0.000 0.500 0.500
0.500 0.000 0.500
0.500 0.500 0.000
0.500 0.500 0.500
0.256 0.256 0.724
0.256 0.724 0.256
0.258 0.258 0.258
0.276 0.744 0.744
0.724 0.256 0.256
0.742 0.742 0.742
0.744 0.276 0.744
0.744 0.744 0.276



# 2
MgMn6O10F2 PBE+U optimized geometry; space group = P1 (1); raw total energy = -131.24 eV/cell
1.0
4.998 0.000 0.000
0.922 4.992 0.000
0.221 0.097 8.777
Mg Mn O F
1 6 10 2
direct
0.000 0.000 0.000
0.048 0.499 0.165
0.052 0.507 0.811
0.498 0.961 0.652
0.505 0.953 0.995
0.510 0.964 0.319
0.961 0.423 0.490
0.202 0.268 0.323
0.208 0.281 0.651
0.217 0.284 0.989
0.305 0.810 0.146
0.310 0.824 0.836
0.676 0.106 0.481
0.683 0.105 0.151
0.782 0.632 0.319
0.790 0.639 0.659
0.832 0.673 0.989
0.309 0.795 0.470
0.719 0.134 0.844